## Na8Cu2O7 (PBE)

Data for a geometry-optimized Na8Cu2O7 structure.

Computed properties:
Formation energy from the elements   -2207 kJ/mol of formula units
Energy with MP2020 corrections   -4.4878 eV/atom
DFT total energy   -285.9 eV/cell
Total magnetic moment   3.998 μB per formula unit
SG   No. 14

Unit cell a=8.6577 b=11.0746 c=10.0084 alpha=90.00 beta=106.16 gamma=90.00
Element x y z (fractional)
1 Na 0.0076 0.2323 0.3748
2 Na 0.0076 0.2677 0.8748
3 Na 0.0696 0.5248 0.6422
4 Na 0.0696 0.9752 0.1422
5 Na 0.1603 0.0040 0.4844
6 Na 0.1603 0.4960 0.9844
7 Na 0.2114 0.7494 0.4297
8 Na 0.2114 0.7506 0.9297
9 Na 0.2409 0.0518 0.7854
10 Na 0.2409 0.4482 0.2854
11 Na 0.3792 0.5222 0.5792
12 Na 0.3792 0.9778 0.0792
13 Na 0.3907 0.2406 0.4660
14 Na 0.3907 0.2594 0.9660
15 Na 0.4199 0.5399 0.8539
16 Na 0.4199 0.9601 0.3539
17 Na 0.5801 0.0399 0.6461
18 Na 0.5801 0.4601 0.1461
19 Na 0.6093 0.7406 0.0340
20 Na 0.6093 0.7594 0.5340
21 Na 0.6208 0.0222 0.9208
22 Na 0.6208 0.4778 0.4208
23 Na 0.7591 0.5518 0.7146
24 Na 0.7591 0.9482 0.2146
25 Na 0.7886 0.2494 0.0703
26 Na 0.7886 0.2506 0.5703
27 Na 0.8397 0.5040 0.0156
28 Na 0.8397 0.9960 0.5156
29 Na 0.9304 0.0248 0.8578
30 Na 0.9304 0.4752 0.3578
31 Na 0.9924 0.7323 0.1252
32 Na 0.9924 0.7677 0.6252
33 Cu 0.1902 0.2187 0.1532
34 Cu 0.1902 0.2813 0.6532
35 Cu 0.4072 0.7013 0.2259
36 Cu 0.4072 0.7987 0.7259
37 Cu 0.5928 0.2013 0.2741
38 Cu 0.5928 0.2987 0.7741
39 Cu 0.8098 0.7187 0.3468
40 Cu 0.8098 0.7813 0.8468
41 O 0.0422 0.1448 0.6053
42 O 0.0422 0.3552 0.1053
43 O 0.1677 0.1101 0.9946
44 O 0.1677 0.3899 0.4946
45 O 0.1883 0.1122 0.3015
46 O 0.1883 0.3878 0.8015
47 O 0.2477 0.6769 0.6803
48 O 0.2477 0.8231 0.1803
49 O 0.3906 0.6108 0.0644
50 O 0.3906 0.8892 0.5644
51 O 0.3966 0.1936 0.7102
52 O 0.3966 0.3064 0.2102
53 O 0.3995 0.6103 0.3809
54 O 0.3995 0.8897 0.8809
55 O 0.6005 0.1103 0.1191
56 O 0.6005 0.3897 0.6191
57 O 0.6034 0.6936 0.7898
58 O 0.6034 0.8064 0.2898
59 O 0.6094 0.1108 0.4356
60 O 0.6094 0.3892 0.9356
61 O 0.7523 0.1769 0.8197
62 O 0.7523 0.3231 0.3197
63 O 0.8117 0.6122 0.1985
64 O 0.8117 0.8878 0.6985
65 O 0.8323 0.6101 0.5054
66 O 0.8323 0.8899 0.0054
67 O 0.9578 0.6448 0.8947
68 O 0.9578 0.8552 0.3947

---

## Na6CuO4 (PBE)

Data for a geometry-optimized Na6CuO4 structure.

Computed properties:
Formation energy from the elements   -1424 kJ/mol of formula units
Energy above the lowest structure with this stoichiometry   0 meV per atom
Energy with MP2020 corrections   -4.2345 eV/atom
DFT total energy   -87.7 eV/cell
Total magnetic moment   1.001 μB per formula unit
SG   No. 9

Unit cell a=7.6957 b=7.6957 c=5.8550 alpha=90.97 beta=90.97 gamma=120.41
Element x y z (fractional)
1 Na 0.0366 0.5731 0.5011
2 Na 0.0369 0.9631 0.5000
3 Na 0.2191 0.3607 0.6675
4 Na 0.3601 0.6433 0.1669
5 Na 0.3607 0.2191 0.1675
6 Na 0.4272 0.9637 0.5073
7 Na 0.5731 0.0366 0.0011
8 Na 0.6433 0.3601 0.6669
9 Na 0.6432 0.7852 0.6662
10 Na 0.7852 0.6432 0.1662
11 Na 0.9631 0.0369 0.0000
12 Na 0.9637 0.4272 0.0073
13 Cu 0.1642 0.8321 0.8946
14 Cu 0.8321 0.1642 0.3946
15 O 0.1236 0.3129 0.2715
16 O 0.1621 0.8237 0.2304
17 O 0.3129 0.1236 0.7715
18 O 0.3209 0.6962 0.7820
19 O 0.6962 0.3209 0.2820
20 O 0.6958 0.8760 0.2827
21 O 0.8237 0.1621 0.7304
22 O 0.8760 0.6958 0.7827

---

## Na3CuO3 (PBE)

Data for a geometry-optimized Na3CuO3 structure.

Computed properties:
Formation energy from the elements   -980 kJ/mol of formula units
Energy above the lowest structure with this stoichiometry   0 meV per atom
Energy with MP2020 corrections   -4.7237 eV/atom
DFT total energy   -372.1 eV/cell
SG   No. 64

Unit cell a=8.2256 b=8.2256 c=16.4982 alpha=90.00 beta=90.00 gamma=95.73
Element x y z (fractional)
1 Na 0.0174 0.6627 0.6854
2 Na 0.0203 0.3739 0.5705
3 Na 0.0248 0.9752 0.7800
4 Na 0.1261 0.4797 0.9295
5 Na 0.1627 0.5174 0.1854
6 Na 0.1674 0.3326 0.7500
7 Na 0.1721 0.8279 0.2803
8 Na 0.1776 0.2300 0.0872
9 Na 0.2300 0.1776 0.9128
10 Na 0.2700 0.3224 0.4128
11 Na 0.3224 0.2700 0.5872
12 Na 0.3279 0.6721 0.7803
13 Na 0.3326 0.1674 0.2500
14 Na 0.3373 0.9826 0.6854
15 Na 0.3739 0.0203 0.4295
16 Na 0.4752 0.5248 0.2800
17 Na 0.4797 0.1261 0.0705
18 Na 0.4826 0.8373 0.1854
19 Na 0.5174 0.1627 0.8146
20 Na 0.5203 0.8739 0.9295
21 Na 0.5248 0.4752 0.7200
22 Na 0.6261 0.9797 0.5705
23 Na 0.6627 0.0174 0.3146
24 Na 0.6674 0.8326 0.7500
25 Na 0.6721 0.3279 0.2197
26 Na 0.6776 0.7300 0.4128
27 Na 0.7300 0.6776 0.5872
28 Na 0.7700 0.8224 0.0872
29 Na 0.8224 0.7700 0.9128
30 Na 0.8279 0.1721 0.7197
31 Na 0.8326 0.6674 0.2500
32 Na 0.8373 0.4826 0.8146
33 Na 0.8739 0.5203 0.0705
34 Na 0.9752 0.0248 0.2200
35 Na 0.9797 0.6261 0.4295
36 Na 0.9826 0.3373 0.3146
37 Cu 0.0009 0.9991 0.4159
38 Cu 0.1522 0.8478 0.0783
39 Cu 0.1716 0.8284 0.9089
40 Cu 0.3284 0.6716 0.4089
41 Cu 0.3478 0.6522 0.5783
42 Cu 0.4991 0.5009 0.9159
43 Cu 0.5009 0.4991 0.0841
44 Cu 0.6522 0.3478 0.4217
45 Cu 0.6716 0.3284 0.5911
46 Cu 0.8284 0.1716 0.0911
47 Cu 0.8478 0.1522 0.9217
48 Cu 0.9991 0.0009 0.5841
49 O 0.0187 0.7409 0.1542
50 O 0.0488 0.7245 0.9937
51 O 0.0551 0.6976 0.8320
52 O 0.1113 0.1280 0.6612
53 O 0.1155 0.1155 0.5000
54 O 0.1280 0.1113 0.3388
55 O 0.1976 0.5551 0.3320
56 O 0.2245 0.5488 0.4937
57 O 0.2409 0.5187 0.6542
58 O 0.2591 0.9813 0.1542
59 O 0.2755 0.9512 0.9937
60 O 0.3024 0.9449 0.8320
61 O 0.3720 0.3887 0.8388
62 O 0.3845 0.3845 0.0000
63 O 0.3887 0.3720 0.1612
64 O 0.4449 0.8024 0.3320
65 O 0.4512 0.7755 0.4937
66 O 0.4813 0.7591 0.6542
67 O 0.5187 0.2409 0.3458
68 O 0.5488 0.2245 0.5063
69 O 0.5551 0.1976 0.6680
70 O 0.6113 0.6280 0.8388
71 O 0.6155 0.6155 0.0000
72 O 0.6280 0.6113 0.1612
73 O 0.6976 0.0551 0.1680
74 O 0.7245 0.0488 0.0063
75 O 0.7409 0.0187 0.8458
76 O 0.7591 0.4813 0.3458
77 O 0.7755 0.4512 0.5063
78 O 0.8024 0.4449 0.6680
79 O 0.8720 0.8887 0.6612
80 O 0.8845 0.8845 0.5000
81 O 0.8887 0.8720 0.3388
82 O 0.9449 0.3024 0.1680
83 O 0.9512 0.2755 0.0063
84 O 0.9813 0.2591 0.8458

---

## NaCuO2 (PBE)

Data for a geometry-optimized NaCuO2 structure.

Computed properties:
Formation energy from the elements   -520 kJ/mol of formula units
Energy with MP2020 corrections   -5.1764 eV/atom
DFT total energy   -38.7 eV/cell
SG   No. 12

Unit cell a=6.6018 b=2.7765 c=6.1225 alpha=90.00 beta=120.50 gamma=90.00
Element x y z (fractional)
1 Na 0.0000 0.0000 0.0000
2 Na 0.5000 0.5000 0.0000
3 Cu 0.0000 0.0000 0.5000
4 Cu 0.5000 0.5000 0.5000
5 O 0.0776 0.5000 0.7299
6 O 0.4224 0.0000 0.2701
7 O 0.5776 0.0000 0.7299
8 O 0.9224 0.5000 0.2701

---

## NaCuO2 (PBE)

Data for a geometry-optimized NaCuO2 structure.

Computed properties:
Formation energy from the elements   -489 kJ/mol of formula units
Energy with MP2020 corrections   -5.0976 eV/atom
DFT total energy   -76.1 eV/cell
Total magnetic moment   0.000 μB per formula unit
SG   No. 36
Maximum piezoelectric response   0.86 C/m2

Unit cell a=2.7949 b=11.6181 c=7.1046 alpha=90.00 beta=90.00 gamma=90.00
Element x y z (fractional)
1 Na 0.0000 0.1081 0.0000
2 Na 0.0000 0.8919 0.5000
3 Na 0.5000 0.3919 0.5000
4 Na 0.5000 0.6081 0.0000
5 Cu 0.0000 0.3548 0.9005
6 Cu 0.0000 0.6452 0.4005
7 Cu 0.5000 0.1452 0.4005
8 Cu 0.5000 0.8548 0.9005
9 O 0.0000 0.0526 0.3155
10 O 0.0000 0.2369 0.4831
11 O 0.0000 0.7631 0.9831
12 O 0.0000 0.9474 0.8155
13 O 0.5000 0.2631 0.9831
14 O 0.5000 0.4474 0.8155
15 O 0.5000 0.5526 0.3155
16 O 0.5000 0.7369 0.4831

---

## Na3Cu5O4 (PBE)

Data for a geometry-optimized Na3Cu5O4 structure.

Computed properties:
Formation energy from the elements   -1226 kJ/mol of formula units
Energy with MP2020 corrections   -4.7466 eV/atom
DFT total energy   -216.8 eV/cell
Total magnetic moment   0.001 μB per formula unit
SG   No. 14

Unit cell a=8.5011 b=7.0269 c=13.3402 alpha=90.00 beta=106.81 gamma=90.00
Element x y z (fractional)
1 Na 0.0897 0.1415 0.0819
2 Na 0.0897 0.3585 0.5819
3 Na 0.2614 0.7490 0.0732
4 Na 0.2614 0.7510 0.5732
5 Na 0.3370 0.0792 0.9075
6 Na 0.3370 0.4208 0.4075
7 Na 0.6630 0.5792 0.5925
8 Na 0.6630 0.9208 0.0925
9 Na 0.7386 0.2490 0.4268
10 Na 0.7386 0.2510 0.9268
11 Na 0.9103 0.6415 0.4181
12 Na 0.9103 0.8585 0.9181
13 Cu 0.0496 0.0827 0.3986
14 Cu 0.0496 0.4173 0.8986
15 Cu 0.0600 0.6645 0.7453
16 Cu 0.0600 0.8355 0.2453
17 Cu 0.3141 0.5420 0.8856
18 Cu 0.3141 0.9580 0.3856
19 Cu 0.4181 0.1873 0.6013
20 Cu 0.4181 0.3127 0.1013
21 Cu 0.4421 0.0507 0.2325
22 Cu 0.4421 0.4493 0.7325
23 Cu 0.5579 0.5507 0.2675
24 Cu 0.5579 0.9493 0.7675
25 Cu 0.5819 0.6873 0.8987
26 Cu 0.5819 0.8127 0.3987
27 Cu 0.6859 0.0420 0.6144
28 Cu 0.6859 0.4580 0.1144
29 Cu 0.9400 0.1645 0.7547
30 Cu 0.9400 0.3355 0.2547
31 Cu 0.9504 0.5827 0.1014
32 Cu 0.9504 0.9173 0.6014
33 O 0.0061 0.6653 0.6013
34 O 0.0061 0.8347 0.1013
35 O 0.1211 0.6679 0.8925
36 O 0.1211 0.8321 0.3925
37 O 0.3756 0.0541 0.0874
38 O 0.3756 0.4459 0.5874
39 O 0.4892 0.5657 0.1228
40 O 0.4892 0.9343 0.6228
41 O 0.5108 0.0657 0.3772
42 O 0.5108 0.4343 0.8772
43 O 0.6244 0.5541 0.4126
44 O 0.6244 0.9459 0.9126
45 O 0.8789 0.1679 0.6075
46 O 0.8789 0.3321 0.1075
47 O 0.9939 0.1653 0.8987
48 O 0.9939 0.3347 0.3987

---

## NaCu3O4 (PBE)

Data for a geometry-optimized NaCu3O4 structure.

Computed properties:
Formation energy from the elements   -840 kJ/mol of formula units
Energy above the lowest structure with this stoichiometry   31 meV per atom
Energy with MP2020 corrections   -5.2651 eV/atom
DFT total energy   -39.4 eV/cell
Total magnetic moment   0.001 μB per formula unit
SG   No. 1

Unit cell a=3.5121 b=5.4559 c=6.0555 alpha=116.53 beta=90.05 gamma=90.02
Element x y z (fractional)
1 Na 0.0000 0.0000 0.0000
2 Cu 0.4960 0.7670 0.5235
3 Cu 0.5035 0.2509 0.4912
4 Cu 0.5135 0.5090 0.0084
5 O 0.4930 0.4038 0.2694
6 O 0.4963 0.8768 0.2683
7 O 0.4966 0.1408 0.7467
8 O 0.5073 0.6151 0.7466

---

## Na2CuO2 (PBE)

Data for a geometry-optimized Na2CuO2 structure.

Computed properties:
Formation energy from the elements   -387 kJ/mol of formula units
Energy above the lowest structure with this stoichiometry   535 meV per atom
Energy with MP2020 corrections   -4.1308 eV/atom
DFT total energy   -38.6 eV/cell
Total magnetic moment   0.113 μB per formula unit
SG   No. 12

Unit cell a=5.7444 b=8.6670 c=4.0588 alpha=90.00 beta=134.80 gamma=90.00
Element x y z (fractional)
1 Na 0.0000 0.2502 0.0000
2 Na 0.0000 0.7498 0.0000
3 Na 0.5000 0.2498 0.0000
4 Na 0.5000 0.7502 0.0000
5 Cu 0.0000 0.0000 0.5000
6 Cu 0.5000 0.5000 0.5000
7 O 0.0000 0.0000 0.0000
8 O 0.0000 0.5000 0.0000
9 O 0.5000 0.0000 0.0000
10 O 0.5000 0.5000 0.0000

---

## NaCu2O3 (PBE)

Data for a geometry-optimized NaCu2O3 structure.

Computed properties:
Formation energy from the elements   -647 kJ/mol of formula units
Energy above the lowest structure with this stoichiometry   70 meV per atom
Energy with MP2020 corrections   -5.1784 eV/atom
DFT total energy   -58.0 eV/cell
Total magnetic moment   0.999 μB per formula unit
SG   No. 12

Unit cell a=5.2323 b=5.2323 c=5.3827 alpha=101.03 beta=101.03 gamma=116.62
Element x y z (fractional)
1 Na 0.1682 0.8318 0.0000
2 Na 0.8318 0.1682 0.0000
3 Cu 0.0000 0.0000 0.5000
4 Cu 0.3354 0.6646 0.5000
5 Cu 0.5000 0.5000 0.0000
6 Cu 0.6646 0.3354 0.5000
7 O 0.0736 0.3816 0.6950
8 O 0.3170 0.3170 0.2359
9 O 0.3816 0.0736 0.6950
10 O 0.6184 0.9264 0.3050
11 O 0.6830 0.6830 0.7641
12 O 0.9264 0.6184 0.3050

---

## Na12Cu7O14 (PBE)

Data for a geometry-optimized Na12Cu7O14 structure.

Computed properties:
Formation energy from the elements   -4347 kJ/mol of formula units
Energy with MP2020 corrections   -4.8150 eV/atom
DFT total energy   -149.3 eV/cell
SG   No. 8

Unit cell a=10.8111 b=10.8111 c=5.7223 alpha=97.92 beta=97.92 gamma=134.57
Element x y z (fractional)
1 Na 0.0000 0.0000 0.0000
2 Na 0.0070 0.4657 0.7773
3 Na 0.1614 0.8530 0.9966
4 Na 0.1664 0.3164 0.7730
5 Na 0.3164 0.1664 0.7730
6 Na 0.3950 0.7259 0.0408
7 Na 0.4657 0.0070 0.7773
8 Na 0.5640 0.5640 0.0576
9 Na 0.5981 0.7643 0.7101
10 Na 0.7259 0.3950 0.0408
11 Na 0.7643 0.5981 0.7101
12 Na 0.8530 0.1614 0.9966
13 Cu 0.0270 0.7420 0.4048
14 Cu 0.1611 0.5892 0.3828
15 Cu 0.2879 0.4303 0.3610
16 Cu 0.4303 0.2879 0.3610
17 Cu 0.5892 0.1611 0.3828
18 Cu 0.7420 0.0270 0.4048
19 Cu 0.8828 0.8828 0.4106
20 O 0.0158 0.8687 0.6538
21 O 0.0415 0.6158 0.1583
22 O 0.1559 0.7208 0.6317
23 O 0.1625 0.4553 0.1269
24 O 0.2771 0.5606 0.6164
25 O 0.3016 0.3016 0.1159
26 O 0.4366 0.4366 0.6157
27 O 0.4553 0.1625 0.1269
28 O 0.5606 0.2771 0.6164
29 O 0.6158 0.0415 0.1583
30 O 0.7208 0.1559 0.6317
31 O 0.7369 0.8820 0.1538
32 O 0.8687 0.0158 0.6538
33 O 0.8820 0.7369 0.1538

---

## NaCu3O2 (PBE)

Data for a geometry-optimized NaCu3O2 structure.

Computed properties:
Formation energy from the elements   -514 kJ/mol of formula units
Energy with MP2020 corrections   -4.8072 eV/atom
DFT total energy   -219.8 eV/cell
Total magnetic moment   0.000 μB per formula unit
SG   No. 61

Unit cell a=7.4582 b=14.3436 c=7.4868 alpha=90.00 beta=90.00 gamma=90.00
Element x y z (fractional)
1 Na 0.1813 0.0733 0.1147
2 Na 0.1813 0.4267 0.6147
3 Na 0.3187 0.5733 0.1147
4 Na 0.3187 0.9267 0.6147
5 Na 0.6813 0.0733 0.3853
6 Na 0.6813 0.4267 0.8853
7 Na 0.8187 0.5733 0.3853
8 Na 0.8187 0.9267 0.8853
9 Cu 0.0966 0.6224 0.7004
10 Cu 0.0966 0.8776 0.2004
11 Cu 0.1086 0.7370 0.4383
12 Cu 0.1086 0.7630 0.9383
13 Cu 0.1345 0.1206 0.5024
14 Cu 0.1345 0.3794 0.0024
15 Cu 0.3655 0.6206 0.5024
16 Cu 0.3655 0.8794 0.0024
17 Cu 0.3914 0.2370 0.4383
18 Cu 0.3914 0.2630 0.9383
19 Cu 0.4034 0.1224 0.7004
20 Cu 0.4034 0.3776 0.2004
21 Cu 0.5966 0.6224 0.7996
22 Cu 0.5966 0.8776 0.2996
23 Cu 0.6086 0.7370 0.0617
24 Cu 0.6086 0.7630 0.5617
25 Cu 0.6345 0.1206 0.9976
26 Cu 0.6345 0.3794 0.4976
27 Cu 0.8655 0.6206 0.9976
28 Cu 0.8655 0.8794 0.4976
29 Cu 0.8914 0.2370 0.0617
30 Cu 0.8914 0.2630 0.5617
31 Cu 0.9034 0.1224 0.7996
32 Cu 0.9034 0.3776 0.2996
33 O 0.1032 0.6338 0.9446
34 O 0.1032 0.8662 0.4446
35 O 0.1217 0.6065 0.4520
36 O 0.1217 0.8935 0.9520
37 O 0.3783 0.1065 0.4520
38 O 0.3783 0.3935 0.9520
39 O 0.3968 0.1338 0.9446
40 O 0.3968 0.3662 0.4446
41 O 0.6032 0.6338 0.5554
42 O 0.6032 0.8662 0.0554
43 O 0.6217 0.6065 0.0480
44 O 0.6217 0.8935 0.5480
45 O 0.8783 0.1065 0.0480
46 O 0.8783 0.3935 0.5480
47 O 0.8968 0.1338 0.5554
48 O 0.8968 0.3662 0.0554

---

## NaCu2O3 (PBE)

Data for a geometry-optimized NaCu2O3 structure.

Computed properties:
Formation energy from the elements   -662 kJ/mol of formula units
Energy above the lowest structure with this stoichiometry   44 meV per atom
Energy with MP2020 corrections   -5.2043 eV/atom
DFT total energy   -58.3 eV/cell
Total magnetic moment   0.000 μB per formula unit
SG   No. 65

Unit cell a=3.7507 b=11.6143 c=3.4492 alpha=90.00 beta=90.00 gamma=90.00
Element x y z (fractional)
1 Na 0.0000 0.0000 0.0000
2 Na 0.5000 0.5000 0.0000
3 Cu 0.0000 0.3422 0.5000
4 Cu 0.0000 0.6578 0.5000
5 Cu 0.5000 0.1578 0.5000
6 Cu 0.5000 0.8422 0.5000
7 O 0.0000 0.1793 0.5000
8 O 0.0000 0.5000 0.5000
9 O 0.0000 0.8207 0.5000
10 O 0.5000 0.0000 0.5000
11 O 0.5000 0.3207 0.5000
12 O 0.5000 0.6793 0.5000